ScBr2: optimized geometry, meta-GGA r2SCAN.

a = 6.7204 Å, b = 6.7204 Å, c = 3.7555 Å
α = 90.00°, β = 90.00°, γ = 90.00°
Closest atoms and distances in Å follow each position.
Fractional coordinates of all 6 atoms:
Sc (0.0000, 0.0000, 0.0000)  6 Br 2.74-2.76
Sc (0.5000, 0.5000, 0.5000)  6 Br 2.74-2.76
Br (0.2095, 0.2095, 0.5000)  3 Sc 2.74-2.76
Br (0.2905, 0.7095, 0.0000)  3 Sc 2.74-2.76
Br (0.7095, 0.2905, 0.0000)  3 Sc 2.74-2.76
Br (0.7905, 0.7905, 0.5000)  3 Sc 2.74-2.76

total magnetic moment	0.333	μB per atom
theoretical density	4.01	Mg/m³
final energy	-42.9	eV per formula unit
formation energy	-1.66	eV per atom